First-principles (r2SCAN) data for an optimized crystal structure of Lu2SiO5, as listed in the Materials Project database.

Cell lengths 7.8124, 7.8124, 10.1318 Å; angles 61.21, 61.21, 49.88 degrees
With the nearest neighbours (Å) after each atom.
Element x y z (fractional)
Lu (0.5173, 0.7633, 0.6625)  6 O 2.13-2.25
Lu (0.2367, 0.4827, 0.8375)  6 O 2.13-2.25
Lu (0.4827, 0.2367, 0.3375)  6 O 2.13-2.25
Lu (0.7633, 0.5173, 0.1625)  6 O 2.13-2.25
Lu (0.2937, 0.7808, 0.0318)  6 O 2.12-2.33
Lu (0.2192, 0.7063, 0.4682)  6 O 2.12-2.33
Lu (0.7063, 0.2192, 0.9682)  6 O 2.12-2.33
Lu (0.7808, 0.2937, 0.5318)  6 O 2.12-2.33
Si (0.9103, 0.7245, 0.3071)  4 O 1.62-1.64
Si (0.2755, 0.0897, 0.1929)  4 O 1.62-1.64
Si (0.0897, 0.2755, 0.6929)  4 O 1.62-1.64
Si (0.7245, 0.9103, 0.8071)  4 O 1.62-1.64
O (0.4202, 0.6148, 0.6025)  4 Lu 2.12-2.33
O (0.3852, 0.5798, 0.8975)  4 Lu 2.12-2.33
O (0.5798, 0.3852, 0.3975)  4 Lu 2.12-2.33
O (0.6148, 0.4202, 0.1025)  4 Lu 2.12-2.33
O (0.7248, 0.8704, 0.4380)  1 Si 1.62
O (0.1296, 0.2752, 0.0620)  1 Si 1.62
O (0.2752, 0.1296, 0.5620)  1 Si 1.62
O (0.8704, 0.7248, 0.9380)  1 Si 1.62
O (0.8514, 0.5505, 0.3228)  1 Si 1.62
O (0.4495, 0.1486, 0.1772)  1 Si 1.62
O (0.1486, 0.4495, 0.6772)  1 Si 1.62
O (0.5505, 0.8514, 0.8228)  1 Si 1.62
O (0.9035, 0.9205, 0.6360)  1 Si 1.63
O (0.0795, 0.0965, 0.8640)  1 Si 1.63
O (0.0965, 0.0795, 0.3640)  1 Si 1.63
O (0.9205, 0.9035, 0.1360)  1 Si 1.63
O (0.5886, 0.1707, 0.8262)  1 Si 1.64
O (0.8293, 0.4114, 0.6738)  1 Si 1.64
O (0.4114, 0.8293, 0.1738)  1 Si 1.64
O (0.1707, 0.5886, 0.3262)  1 Si 1.64

Results
**Calculated total energy**: -18.099 eV per atom
**Crystal system**: monoclinic
**ΔH_f (0 K)**: -3.750 eV per atom
**Volume**: 12.521 A^3/atom
**Space group**: No. 15